Entry 1:
{"formula": "Na3ZrNiP3O12", "functional": "PBE with a Hubbard U", "state": "optimized geometry", "space_group": "No. 1", "formation_enthalpy_0k_kj_per_mol_atoms": -263, "total_energy_ev_per_atom": -6.8848, "lattice": [[0.2509, 8.6327, 2.6394], [2.2546, -6.5444, 5.8014], [13.1306, -2.6381, -8.0386]], "species": ["O", "O", "O", "O", "O", "O", "O", "O", "O", "O", "O", "O", "O", "O", "O", "O", "O", "O", "O", "O", "O", "O", "O", "O", "O", "O", "O", "O", "O", "O", "O", "O", "O", "O", "O", "O", "O", "O", "O", "O", "O", "O", "O", "O", "O", "O", "O", "O", "P", "P", "P", "P", "P", "P", "P", "P", "P", "P", "P", "P", "Na", "Na", "Na", "Na", "Na", "Na", "Na", "Na", "Na", "Na", "Na", "Na", "Zr", "Zr", "Zr", "Zr", "Ni", "Ni", "Ni", "Ni"], "frac_coords": [[0.9418, 0.3472, 0.0629], [0.7382, 0.0544, 0.9725], [0.2448, 0.2237, 0.7954], [0.4173, 0.0095, 0.3989], [0.3980, 0.2779, 0.4993], [0.2609, 0.2516, 0.9613], [0.2466, 0.7217, 0.4531], [0.5709, 0.6967, 0.4924], [0.7431, 0.5514, 0.4662], [0.7524, 0.7976, 0.8632], [0.4196, 0.8148, 0.8035], [0.9132, 0.8554, 0.7513], [0.7398, 0.2912, 0.3630], [0.2466, 0.7020, 0.6326], [0.2514, 0.4450, 0.5287], [0.2452, 0.7346, 0.2891], [0.6011, 0.2366, 0.9987], [0.7494, 0.7962, 0.3868], [0.9168, 0.8501, 0.5575], [0.7404, 0.7730, 0.0440], [0.7477, 0.5525, 0.7882], [0.7623, 0.7776, 0.2089], [0.2532, 0.4466, 0.2228], [0.0815, 0.6392, 0.7455], [0.7427, 0.2520, 0.5421], [0.5677, 0.6723, 0.6931], [0.9212, 0.6611, 0.1377], [0.0578, 0.1439, 0.4433], [0.4466, 0.5151, 0.8958], [0.2525, 0.6984, 0.1103], [0.5754, 0.4934, 0.1061], [0.2368, 0.1920, 0.6107], [0.9207, 0.3840, 0.2599], [0.1097, 0.3758, 0.8522], [0.8956, 0.1292, 0.6483], [0.4152, 0.3091, 0.3089], [0.7546, 0.0606, 0.2811], [0.5526, 0.9820, 0.6022], [0.0680, 0.6487, 0.9424], [0.5732, 0.1787, 0.1920], [0.4050, 0.7878, 0.9942], [0.7735, 0.3070, 0.8927], [0.2511, 0.2026, 0.1372], [0.7529, 0.2725, 0.7056], [0.2503, 0.9446, 0.7123], [0.2583, 0.9500, 0.0342], [0.0751, 0.8402, 0.3558], [0.0740, 0.1278, 0.2434], [0.2667, 0.3383, 0.8773], [0.7377, 0.7186, 0.7691], [0.7619, 0.2388, 0.9845], [0.2459, 0.7756, 0.0216], [0.7511, 0.6711, 0.1269], [0.2439, 0.2703, 0.2261], [0.7306, 0.1538, 0.6252], [0.7413, 0.7240, 0.4766], [0.7480, 0.2289, 0.2698], [0.2508, 0.7726, 0.7223], [0.2417, 0.8227, 0.3731], [0.2336, 0.2679, 0.5204], [0.4982, 0.2528, 0.7502], [0.0268, 0.0104, 0.9858], [0.2406, 0.9373, 0.1857], [0.7589, 0.0519, 0.4380], [0.7905, 0.5804, 0.3102], [0.5029, 0.7513, 0.2494], [0.7931, 0.0331, 0.1367], [0.7539, 0.5495, 0.9565], [0.2344, 0.4908, 0.3720], [0.2592, 0.4441, 0.0670], [0.0134, 0.4955, 0.5158], [0.2553, 0.9369, 0.5507], [0.0570, 0.0259, 0.6803], [0.9399, 0.4706, 0.8195], [0.5648, 0.7889, 0.9229], [0.5567, 0.2786, 0.4288], [0.4501, 0.2286, 0.0748], [0.9435, 0.9735, 0.3247], [0.0581, 0.5304, 0.1761], [0.4368, 0.7116, 0.5754]]}

***

Entry 2:
{"formula": "Na2ZrNiP4O14", "functional": "PBE with a Hubbard U", "state": "optimized geometry", "space_group": "No. 1", "formation_enthalpy_0k_kj_per_mol_atoms": -263, "e_ij_max_c_m2": 0.6, "total_energy_ev_per_atom": -7.0787, "lattice": [[6.5912, 0.0000, 0.0000], [0.9372, 6.5453, 0.0000], [0.5528, 2.8089, 6.4031]], "species": ["O", "O", "O", "O", "O", "O", "O", "O", "O", "O", "O", "O", "O", "O", "P", "P", "P", "P", "Zr", "Na", "Na", "Ni"], "frac_coords": [[0.9700, 0.2927, 0.0115], [0.5583, 0.2527, 0.7354], [0.6870, 0.9507, 0.0825], [0.3290, 0.9762, 0.9669], [0.7625, 0.6438, 0.7635], [0.6684, 0.1088, 0.4530], [0.0260, 0.8412, 0.3434], [0.7482, 0.4892, 0.4171], [0.9325, 0.1317, 0.6897], [0.0445, 0.6716, 0.9720], [0.3798, 0.8146, 0.4804], [0.1389, 0.5297, 0.6870], [0.2967, 0.5230, 0.3535], [0.4206, 0.2806, 0.0690], [0.7335, 0.2460, 0.5599], [0.4957, 0.1195, 0.9738], [0.2225, 0.6788, 0.4561], [0.9701, 0.5389, 0.8597], [0.0123, 0.9724, 0.0045], [0.2573, 0.1824, 0.3969], [0.5411, 0.5766, 0.0893], [0.6976, 0.7924, 0.4542]]}

***

Entry 3:
{"formula": "NaPrNi4O12", "functional": "PBE with a Hubbard U", "state": "optimized geometry", "space_group": "No. 123", "formation_enthalpy_0k_kj_per_mol_atoms": -76, "total_energy_ev_per_atom": -4.6892, "lattice": [[-4.1169, 3.4482, -0.0464], [-3.4479, -4.1145, 0.1534], [0.0907, 0.2124, 7.7380]], "species": ["O", "O", "O", "O", "O", "O", "O", "O", "O", "O", "O", "O", "Ni", "Ni", "Ni", "Ni", "Pr", "Na"], "frac_coords": [[0.2376, 0.2376, 0.2622], [0.7624, 0.2376, 0.2622], [0.7624, 0.7624, 0.7378], [0.5000, 0.0000, 0.0000], [0.5000, 0.0000, 0.5000], [0.2376, 0.7624, 0.7378], [0.2376, 0.7624, 0.2622], [0.2376, 0.2376, 0.7378], [0.7624, 0.2376, 0.7378], [0.7624, 0.7624, 0.2622], [0.0000, 0.5000, 0.0000], [0.0000, 0.5000, 0.5000], [0.0000, 0.5000, 0.2455], [0.5000, 0.0000, 0.7545], [0.0000, 0.5000, 0.7545], [0.5000, 0.0000, 0.2455], [0.0000, 0.0000, 0.5000], [0.5000, 0.5000, 0.0000]]}